(1)
Entry from the Materials Project database: a geometry-optimized HoIn5Rh structure (PBE-GGA).

Properties
energy of formation from the pure elements = -0.3926 eV/atom

a b c (Å): 4.6568 4.6568 7.5509
angles (deg): 90.00 90.00 90.00
Space group P4/mmm (No. 123)
One atom of each set of equivalent atoms:
Ho 0.0000 0.0000 0.0000 [1 per cell]
In 0.0000 0.5000 0.3008 [4 per cell]
In 0.5000 0.5000 0.0000 [1 per cell]
Rh 0.0000 0.0000 0.5000 [1 per cell]

***

(2)
Entry from the Materials Project database: a geometry-optimized Ho20In40Rh19 structure (PBE-GGA).

Properties
energy of formation from the pure elements = -0.5955 eV/atom

a b c (Å): 13.5521 13.5521 9.3970
angles (deg): 90.00 90.00 90.00
Space group P-4m2 (No. 115)
One atom of each set of equivalent atoms:
Ho 0.0000 0.2231 0.2668 [4 per cell]
Ho 0.0000 0.5000 0.3493 [2 per cell]
Ho 0.0000 0.5000 0.8575 [2 per cell]
Ho 0.2036 0.2983 0.7634 [8 per cell]
Ho 0.2747 0.5000 0.2695 [4 per cell]
In 0.0000 0.1143 0.7400 [4 per cell]
In 0.0000 0.3306 0.5983 [4 per cell]
In 0.1304 0.3697 0.0946 [8 per cell]
In 0.1402 0.1402 0.0000 [4 per cell]
In 0.1502 0.1502 0.5000 [4 per cell]
In 0.1693 0.5000 0.5984 [4 per cell]
In 0.3497 0.3497 0.5000 [4 per cell]
In 0.3675 0.3675 0.0000 [4 per cell]
In 0.3868 0.5000 0.7392 [4 per cell]
Rh 0.0000 0.0000 0.0000 [1 per cell]
Rh 0.0000 0.0000 0.5000 [1 per cell]
Rh 0.0000 0.2795 0.9061 [4 per cell]
Rh 0.1546 0.3451 0.3946 [8 per cell]
Rh 0.2225 0.5000 0.9065 [4 per cell]
Rh 0.5000 0.5000 0.5000 [1 per cell]

***

(3)
Entry from the Materials Project database: a geometry-optimized Ho4InRh structure (PBE-GGA).

Properties
energy of formation from the pure elements = -0.5594 eV/atom

a b c (Å): 13.6025 13.6025 13.6025
angles (deg): 90.00 90.00 90.00
Space group F-43m (No. 216)
One atom of each set of equivalent atoms:
Ho 0.0000 0.0000 0.1879 [24 per cell]
Ho 0.0606 0.2500 0.7500 [24 per cell]
Ho 0.0996 0.0996 0.4004 [16 per cell]
In 0.1672 0.1672 0.1672 [16 per cell]
Rh 0.1077 0.1077 0.6077 [16 per cell]

***

(4)
Entry from the Materials Project database: a geometry-optimized HoInRh2 structure (PBE-GGA).

Properties
energy of formation from the pure elements = -0.7683 eV/atom

a b c (Å): 6.6384 6.6384 6.6384
angles (deg): 90.00 90.00 90.00
Space group Fm-3m (No. 225)
One atom of each set of equivalent atoms:
Ho 0.0000 0.0000 0.0000 [4 per cell]
In 0.0000 0.0000 0.5000 [4 per cell]
Rh 0.2500 0.2500 0.2500 [8 per cell]

***

(5)
Entry from the Materials Project database: a geometry-optimized TbHoIn2 structure (PBE-GGA).

Properties
energy of formation from the pure elements = -0.4567 eV/atom

a b c (Å): 7.5414 7.5414 7.5414
angles (deg): 90.00 90.00 90.00
Space group Fm-3m (No. 225)
One atom of each set of equivalent atoms:
Tb 0.0000 0.0000 0.0000 [4 per cell]
Ho 0.0000 0.0000 0.5000 [4 per cell]
In 0.2500 0.2500 0.2500 [8 per cell]

***

(6)
Entry from the Materials Project database: a geometry-optimized Ho2TlIn structure (PBE-GGA).

Properties
energy of formation from the pure elements = -0.3823 eV/atom

a b c (Å): 7.5440 7.5440 7.5440
angles (deg): 90.00 90.00 90.00
Space group Fm-3m (No. 225)
One atom of each set of equivalent atoms:
Ho 0.2500 0.2500 0.2500 [8 per cell]
Tl 0.0000 0.0000 0.0000 [4 per cell]
In 0.0000 0.0000 0.5000 [4 per cell]